1.
{
  "formula": "Zn5Ag4Sn3Se13N6",
  "functional": "PBE",
  "state": "optimized geometry",
  "lattice": [[0.000, 9.549, 9.549], [9.549, 0.000, 9.549], [9.549, 9.549, 0.000]],
  "species": ["Zn", "Zn", "Zn", "Zn", "Zn", "Zn", "Zn", "Zn", "Zn", "Zn", "Ag", "Ag", "Ag", "Ag", "Ag", "Ag", "Ag", "Ag", "Sn", "Sn", "Sn", "Sn", "Sn", "Sn", "Se", "Se", "Se", "Se", "Se", "Se", "Se", "Se", "Se", "Se", "Se", "Se", "Se", "Se", "Se", "Se", "Se", "Se", "Se", "Se", "Se", "Se", "Se", "Se", "Se", "Se", "N", "N", "N", "N", "N", "N", "N", "N", "N", "N", "N", "N"],
  "frac_coords": [[0.000, 0.000, 0.000], [0.015, 0.328, 0.328], [0.328, 0.015, 0.328], [0.328, 0.328, 0.015], [0.328, 0.328, 0.328], [0.500, 0.500, 0.500], [0.515, 0.828, 0.828], [0.828, 0.515, 0.828], [0.828, 0.828, 0.515], [0.828, 0.828, 0.828], [0.044, 0.652, 0.652], [0.152, 0.152, 0.152], [0.152, 0.152, 0.544], [0.152, 0.544, 0.152], [0.544, 0.152, 0.152], [0.652, 0.044, 0.652], [0.652, 0.652, 0.044], [0.652, 0.652, 0.652], [0.000, 0.000, 0.500], [0.000, 0.500, 0.000], [0.000, 0.500, 0.500], [0.500, 0.000, 0.000], [0.500, 0.000, 0.500], [0.500, 0.500, 0.000], [0.038, 0.445, 0.823], [0.038, 0.694, 0.445], [0.038, 0.823, 0.694], [0.194, 0.323, 0.538], [0.194, 0.538, 0.945], [0.194, 0.945, 0.323], [0.250, 0.250, 0.250], [0.323, 0.194, 0.945], [0.323, 0.538, 0.194], [0.323, 0.945, 0.538], [0.445, 0.038, 0.694], [0.445, 0.694, 0.823], [0.445, 0.823, 0.038], [0.538, 0.194, 0.323], [0.538, 0.323, 0.945], [0.538, 0.945, 0.194], [0.694, 0.038, 0.823], [0.694, 0.445, 0.038], [0.694, 0.823, 0.445], [0.750, 0.750, 0.750], [0.823, 0.038, 0.445], [0.823, 0.445, 0.694], [0.823, 0.694, 0.038], [0.945, 0.194, 0.538], [0.945, 0.323, 0.194], [0.945, 0.538, 0.323], [0.115, 0.115, 0.885], [0.115, 0.885, 0.115], [0.115, 0.885, 0.885], [0.385, 0.385, 0.615], [0.385, 0.615, 0.385], [0.385, 0.615, 0.615], [0.615, 0.385, 0.385], [0.615, 0.385, 0.615], [0.615, 0.615, 0.385], [0.885, 0.115, 0.115], [0.885, 0.115, 0.885], [0.885, 0.885, 0.115]],
  "magmom_total_mub_per_atom": 0.488,
  "volume_a3_per_cell": 1741.2,
  "total_energy_ev_per_cell": -208.629,
  "spacegroup": "F-43c (219)",
  "mass_density_g_cm3": 4.244
}


2.
{
  "formula": "Pm2ZnHg",
  "functional": "PBE",
  "state": "optimized geometry",
  "lattice": [[0.000, 3.751, 3.751], [3.751, 0.000, 3.751], [3.751, 3.751, 0.000]],
  "species": ["Pm", "Pm", "Zn", "Hg"],
  "frac_coords": [[0.250, 0.250, 0.250], [0.750, 0.750, 0.750], [0.000, 0.000, 0.000], [0.500, 0.500, 0.500]],
  "volume_a3_per_cell": 105.6,
  "total_energy_ev_per_cell": -12.590,
  "spacegroup": "Fm-3m (225)",
  "mass_density_g_cm3": 8.747
}


3.
{
  "formula": "Nd7Pd3",
  "functional": "PBE",
  "state": "optimized geometry",
  "lattice": [[5.114, -8.797, 0.000], [5.114, 8.797, 0.000], [0.000, 0.000, 6.501]],
  "species": ["Nd", "Nd", "Nd", "Nd", "Nd", "Nd", "Nd", "Nd", "Nd", "Nd", "Nd", "Nd", "Nd", "Nd", "Pd", "Pd", "Pd", "Pd", "Pd", "Pd"],
  "frac_coords": [[0.038, 0.577, 0.501], [0.038, 0.962, 0.500], [0.167, 0.833, 0.995], [0.247, 0.373, 0.702], [0.373, 0.247, 0.202], [0.373, 0.627, 0.201], [0.423, 0.962, 0.501], [0.577, 0.038, 0.001], [0.627, 0.373, 0.701], [0.627, 0.753, 0.702], [0.753, 0.627, 0.202], [0.833, 0.167, 0.495], [0.962, 0.038, 0.000], [0.962, 0.423, 0.001], [0.122, 0.311, 0.256], [0.311, 0.122, 0.756], [0.311, 0.689, 0.755], [0.689, 0.311, 0.255], [0.689, 0.878, 0.256], [0.878, 0.689, 0.756]],
  "magmom_total_mub_per_atom": 0.000,
  "volume_a3_per_cell": 585.0,
  "total_energy_ev_per_cell": -107.699,
  "spacegroup": "Cmc2_1 (36)",
  "mass_density_g_cm3": 7.545
}


4.
{
  "formula": "Sm3Th5F27",
  "functional": "PBE",
  "state": "optimized geometry",
  "lattice": [[7.342, 0.000, 0.000], [0.000, 4.127, 0.000], [-0.457, 0.000, 17.247]],
  "species": ["Sm", "Sm", "Sm", "Th", "Th", "Th", "Th", "Th", "F", "F", "F", "F", "F", "F", "F", "F", "F", "F", "F", "F", "F", "F", "F", "F", "F", "F", "F", "F", "F", "F", "F", "F", "F", "F", "F"],
  "frac_coords": [[0.000, 0.000, 0.000], [0.027, 0.000, 0.491], [0.844, 0.000, 0.239], [0.357, 0.500, 0.647], [0.372, 0.500, 0.148], [0.555, 0.500, 0.904], [0.563, 0.500, 0.401], [0.868, 0.000, 0.735], [0.016, 0.500, 0.709], [0.089, 0.500, 0.082], [0.102, 0.500, 0.562], [0.140, 0.000, 0.205], [0.197, 0.000, 0.702], [0.262, 0.500, 0.924], [0.268, 0.500, 0.430], [0.287, 0.000, 0.045], [0.298, 0.000, 0.561], [0.387, 0.500, 0.281], [0.405, 0.500, 0.778], [0.530, 0.500, 0.038], [0.535, 0.500, 0.542], [0.547, 0.000, 0.674], [0.581, 0.000, 0.830], [0.590, 0.000, 0.323], [0.631, 0.000, 0.461], [0.655, 0.000, 0.964], [0.675, 0.500, 0.181], [0.776, 0.500, 0.804], [0.815, 0.500, 0.306], [0.845, 0.000, 0.108], [0.861, 0.500, 0.459], [0.869, 0.500, 0.961], [0.870, 0.000, 0.602], [0.983, 0.000, 0.861], [0.994, 0.000, 0.363]],
  "magmom_total_mub_per_atom": 0.030,
  "volume_a3_per_cell": 522.6,
  "total_energy_ev_per_cell": -239.459,
  "spacegroup": "Pm (6)",
  "mass_density_g_cm3": 6.749
}


5.
{
  "formula": "Dy2CI3",
  "functional": "PBE",
  "state": "optimized geometry",
  "lattice": [[8.511, 0.000, 0.000], [0.000, 13.816, 0.000], [-8.478, 0.000, 14.550]],
  "species": ["Dy", "Dy", "Dy", "Dy", "Dy", "Dy", "Dy", "Dy", "Dy", "Dy", "Dy", "Dy", "Dy", "Dy", "Dy", "Dy", "C", "C", "C", "C", "C", "C", "C", "C", "I", "I", "I", "I", "I", "I", "I", "I", "I", "I", "I", "I", "I", "I", "I", "I", "I", "I", "I", "I", "I", "I", "I", "I"],
  "frac_coords": [[0.123, 0.103, 0.123], [0.123, 0.397, 0.623], [0.223, 0.091, 0.931], [0.223, 0.409, 0.431], [0.342, 0.632, 0.342], [0.342, 0.868, 0.842], [0.358, 0.597, 0.573], [0.358, 0.903, 0.073], [0.642, 0.097, 0.927], [0.642, 0.403, 0.427], [0.658, 0.132, 0.158], [0.658, 0.368, 0.658], [0.777, 0.591, 0.569], [0.777, 0.909, 0.069], [0.877, 0.603, 0.377], [0.877, 0.897, 0.877], [0.089, 0.517, 0.512], [0.089, 0.983, 0.012], [0.462, 0.532, 0.462], [0.462, 0.968, 0.962], [0.538, 0.032, 0.038], [0.538, 0.468, 0.538], [0.911, 0.017, 0.988], [0.911, 0.483, 0.488], [0.014, 0.014, 0.257], [0.014, 0.486, 0.757], [0.164, 0.726, 0.666], [0.164, 0.774, 0.166], [0.172, 0.738, 0.926], [0.172, 0.762, 0.426], [0.315, 0.240, 0.572], [0.315, 0.260, 0.072], [0.319, 0.241, 0.823], [0.319, 0.259, 0.323], [0.495, 0.515, 0.241], [0.495, 0.985, 0.741], [0.505, 0.015, 0.259], [0.505, 0.485, 0.759], [0.681, 0.741, 0.677], [0.681, 0.759, 0.177], [0.685, 0.740, 0.928], [0.685, 0.760, 0.428], [0.828, 0.238, 0.574], [0.828, 0.262, 0.074], [0.836, 0.226, 0.834], [0.836, 0.274, 0.334], [0.986, 0.514, 0.243], [0.986, 0.986, 0.743]],
  "volume_a3_per_cell": 1710.8,
  "total_energy_ev_per_cell": -239.921,
  "spacegroup": "P2_1/c (14)",
  "mass_density_g_cm3": 5.573
}


6.
{
  "formula": "KEuHfZrO6",
  "functional": "PBE",
  "state": "optimized geometry",
  "lattice": [[0.000, 4.159, 4.159], [4.159, 0.000, 4.159], [4.159, 4.159, 0.000]],
  "species": ["K", "Eu", "Hf", "Zr", "O", "O", "O", "O", "O", "O"],
  "frac_coords": [[0.000, 0.000, 0.000], [0.500, 0.500, 0.500], [0.250, 0.250, 0.250], [0.750, 0.750, 0.750], [0.002, 0.002, 0.498], [0.002, 0.498, 0.002], [0.002, 0.498, 0.498], [0.498, 0.002, 0.002], [0.498, 0.002, 0.498], [0.498, 0.498, 0.002]],
  "magmom_total_mub_per_atom": 0.600,
  "volume_a3_per_cell": 143.9,
  "total_energy_ev_per_cell": -88.767,
  "spacegroup": "F-43m (216)",
  "mass_density_g_cm3": 6.426
}


7.
{
  "formula": "Ca3Mg",
  "functional": "PBE",
  "state": "optimized geometry",
  "lattice": [[5.259, 0.000, 0.000], [0.000, 5.259, 0.000], [0.000, 0.000, 5.259]],
  "species": ["Ca", "Ca", "Ca", "Mg"],
  "frac_coords": [[0.000, 0.000, 0.500], [0.000, 0.500, 0.000], [0.500, 0.000, 0.000], [0.500, 0.500, 0.500]],
  "volume_a3_per_cell": 145.5,
  "total_energy_ev_per_cell": -7.663,
  "spacegroup": "Pm-3m (221)",
  "mass_density_g_cm3": 1.650
}


8.
{
  "formula": "KCdAs",
  "functional": "PBE",
  "state": "optimized geometry",
  "lattice": [[4.622, 0.000, 0.000], [0.000, 4.622, 0.000], [0.000, 0.000, 8.039]],
  "species": ["K", "K", "Cd", "Cd", "As", "As"],
  "frac_coords": [[0.250, 0.250, 0.149], [0.750, 0.750, 0.851], [0.250, 0.750, 0.500], [0.750, 0.250, 0.500], [0.250, 0.250, 0.707], [0.750, 0.750, 0.293]],
  "volume_a3_per_cell": 171.7,
  "total_energy_ev_per_cell": -15.904,
  "spacegroup": "P4/nmm (129)",
  "mass_density_g_cm3": 4.379
}


9.
{
  "formula": "Na2PH3O5",
  "functional": "PBE",
  "state": "optimized geometry",
  "lattice": [[5.685, 0.000, 0.000], [-1.169, 5.648, 0.000], [-2.563, -2.557, 7.193]],
  "species": ["Na", "Na", "Na", "Na", "P", "P", "H", "H", "H", "H", "H", "H", "O", "O", "O", "O", "O", "O", "O", "O", "O", "O"],
  "frac_coords": [[0.016, 0.166, 0.214], [0.236, 0.777, 0.437], [0.764, 0.223, 0.563], [0.984, 0.834, 0.786], [0.371, 0.413, 0.707], [0.629, 0.587, 0.293], [0.250, 0.361, 0.940], [0.302, 0.786, 0.117], [0.442, 0.074, 0.155], [0.558, 0.926, 0.845], [0.698, 0.214, 0.883], [0.750, 0.639, 0.060], [0.202, 0.269, 0.803], [0.270, 0.942, 0.097], [0.280, 0.642, 0.690], [0.307, 0.213, 0.521], [0.335, 0.512, 0.166], [0.665, 0.488, 0.834], [0.693, 0.787, 0.479], [0.720, 0.358, 0.310], [0.730, 0.058, 0.903], [0.798, 0.731, 0.197]],
  "magmom_total_mub_per_atom": 0.000,
  "volume_a3_per_cell": 231.0,
  "total_energy_ev_per_cell": -124.399,
  "spacegroup": "P-1 (2)",
  "mass_density_g_cm3": 2.300
}


10.
{
  "formula": "Bi2IBr",
  "functional": "PBE",
  "state": "optimized geometry",
  "lattice": [[7.669, -2.181, 0.000], [7.669, 2.181, 0.000], [-3.706, 0.000, 30.910]],
  "species": ["Bi", "Bi", "Bi", "Bi", "Bi", "Bi", "Bi", "Bi", "Bi", "Bi", "Bi", "Bi", "I", "I", "I", "I", "I", "I", "Br", "Br", "Br", "Br", "Br", "Br"],
  "frac_coords": [[0.002, 0.002, 0.330], [0.020, 0.020, 0.573], [0.319, 0.319, 0.997], [0.349, 0.349, 0.761], [0.357, 0.357, 0.662], [0.384, 0.384, 0.095], [0.616, 0.616, 0.905], [0.643, 0.643, 0.338], [0.651, 0.651, 0.239], [0.681, 0.681, 0.003], [0.980, 0.980, 0.427], [0.998, 0.998, 0.670], [0.019, 0.019, 0.074], [0.243, 0.243, 0.875], [0.296, 0.296, 0.256], [0.704, 0.704, 0.744], [0.757, 0.757, 0.125], [0.981, 0.981, 0.926], [0.024, 0.024, 0.215], [0.352, 0.352, 0.404], [0.395, 0.395, 0.546], [0.605, 0.605, 0.454], [0.648, 0.648, 0.596], [0.976, 0.976, 0.785]],
  "magmom_total_mub_per_atom": 0.001,
  "volume_a3_per_cell": 1034.2,
  "total_energy_ev_per_cell": -74.847,
  "spacegroup": "C2/m (12)",
  "mass_density_g_cm3": 6.019
}


11.
{
  "formula": "Nb2Pb3N4",
  "functional": "PBE",
  "state": "optimized geometry",
  "lattice": [[6.728, 0.000, 0.000], [0.000, 11.627, 0.000], [0.000, 0.000, 9.693]],
  "species": ["Nb", "Nb", "Nb", "Nb", "Nb", "Nb", "Nb", "Nb", "Pb", "Pb", "Pb", "Pb", "Pb", "Pb", "Pb", "Pb", "Pb", "Pb", "Pb", "Pb", "N", "N", "N", "N", "N", "N", "N", "N", "N", "N", "N", "N", "N", "N", "N", "N"],
  "frac_coords": [[0.194, 0.250, 0.250], [0.250, 0.000, 0.234], [0.250, 0.500, 0.266], [0.306, 0.750, 0.250], [0.694, 0.250, 0.750], [0.750, 0.000, 0.766], [0.750, 0.500, 0.734], [0.806, 0.750, 0.750], [0.242, 0.143, 0.920], [0.242, 0.357, 0.580], [0.250, 0.000, 0.568], [0.250, 0.500, 0.932], [0.258, 0.643, 0.580], [0.258, 0.857, 0.920], [0.742, 0.143, 0.080], [0.742, 0.357, 0.420], [0.750, 0.000, 0.432], [0.750, 0.500, 0.068], [0.758, 0.643, 0.420], [0.758, 0.857, 0.080], [0.098, 0.100, 0.359], [0.098, 0.400, 0.141], [0.119, 0.646, 0.338], [0.119, 0.854, 0.162], [0.381, 0.146, 0.162], [0.381, 0.354, 0.338], [0.402, 0.600, 0.141], [0.402, 0.900, 0.359], [0.598, 0.100, 0.641], [0.598, 0.400, 0.859], [0.619, 0.646, 0.662], [0.619, 0.854, 0.838], [0.881, 0.146, 0.838], [0.881, 0.354, 0.662], [0.902, 0.600, 0.859], [0.902, 0.900, 0.641]],
  "magmom_total_mub_per_atom": 0.000,
  "volume_a3_per_cell": 758.2,
  "total_energy_ev_per_cell": -259.677,
  "spacegroup": "Pnna (52)",
  "mass_density_g_cm3": 7.564
}


12.
{
  "formula": "CdC4N6",
  "functional": "PBE",
  "state": "optimized geometry",
  "lattice": [[6.620, 0.000, 0.000], [0.000, 7.710, 0.000], [0.000, 0.000, 7.775]],
  "species": ["Cd", "Cd", "C", "C", "C", "C", "C", "C", "C", "C", "N", "N", "N", "N", "N", "N", "N", "N", "N", "N", "N", "N"],
  "frac_coords": [[0.000, 0.000, 0.000], [0.500, 0.500, 0.500], [0.249, 0.152, 0.353], [0.249, 0.152, 0.647], [0.251, 0.652, 0.147], [0.251, 0.652, 0.853], [0.749, 0.348, 0.147], [0.749, 0.348, 0.853], [0.751, 0.848, 0.353], [0.751, 0.848, 0.647], [0.191, 0.716, 0.000], [0.205, 0.103, 0.215], [0.205, 0.103, 0.785], [0.295, 0.603, 0.285], [0.295, 0.603, 0.715], [0.309, 0.216, 0.500], [0.691, 0.784, 0.500], [0.705, 0.397, 0.285], [0.705, 0.397, 0.715], [0.795, 0.897, 0.215], [0.795, 0.897, 0.785], [0.809, 0.284, 0.000]],
  "e_above_lowest_polymorph_mev_per_atom": 0,
  "magmom_total_mub_per_atom": 0.000,
  "volume_a3_per_cell": 396.8,
  "spacegroup": "Pnnm (58)",
  "mass_density_g_cm3": 2.046
}


13.
{
  "formula": "LaMg14Ni",
  "functional": "PBE",
  "state": "optimized geometry",
  "lattice": [[6.473, 0.000, 0.000], [-3.236, 5.605, 0.000], [0.000, 0.000, 10.233]],
  "species": ["La", "Mg", "Mg", "Mg", "Mg", "Mg", "Mg", "Mg", "Mg", "Mg", "Mg", "Mg", "Mg", "Mg", "Mg", "Ni"],
  "frac_coords": [[0.000, 0.000, 0.000], [0.017, 0.508, 0.000], [0.161, 0.323, 0.273], [0.161, 0.323, 0.727], [0.161, 0.839, 0.273], [0.161, 0.839, 0.727], [0.492, 0.508, 0.000], [0.492, 0.983, 0.000], [0.505, 0.009, 0.500], [0.505, 0.495, 0.500], [0.667, 0.333, 0.237], [0.667, 0.333, 0.763], [0.677, 0.839, 0.273], [0.677, 0.839, 0.727], [0.991, 0.495, 0.500], [0.000, 0.000, 0.500]],
  "e_above_lowest_polymorph_mev_per_atom": 39,
  "magmom_total_mub_per_atom": 0.022,
  "volume_a3_per_cell": 371.3,
  "spacegroup": "P-6m2 (187)",
  "mass_density_g_cm3": 2.406
}